Entry 1:
Compound: Ti11Fe17O42
Source: the Materials Project database
Functional: GGA+U
Structure: optimized geometry

Cell lengths 7.5391, 9.1714, 11.6301 Å; angles 99.48, 93.05, 108.17 degrees
Space group P1 (No. 1)
Symmetry-distinct sites (fractional):
Ti  0.0000  0.0000  0.0000 x1
Ti  0.0188  0.4741  0.6288 x1
Ti  0.1402  0.2815  0.4264 x1
Ti  0.1660  0.7601  0.0642 x1
Ti  0.2832  0.5703  0.8602 x1
Ti  0.3104  0.0389  0.4831 x1
Ti  0.5681  0.1445  0.7161 x1
Ti  0.5941  0.6174  0.3434 x1
Ti  0.7111  0.4281  0.1426 x1
Ti  0.7398  0.8984  0.7736 x1
Ti  0.8784  0.1870  0.2041 x1
Fe  0.0694  0.1412  0.7146 x1
Fe  0.0985  0.6175  0.3440 x1
Fe  0.2112  0.4234  0.1411 x1
Fe  0.2348  0.8996  0.7696 x1
Fe  0.3504  0.7129  0.5714 x1
Fe  0.3895  0.1910  0.2001 x1
Fe  0.4280  0.8556  0.2845 x1
Fe  0.4522  0.3297  0.9161 x1
Fe  0.4939  0.9996  0.0030 x1
Fe  0.5282  0.4748  0.6283 x1
Fe  0.6321  0.2783  0.4301 x1
Fe  0.6746  0.7639  0.0598 x1
Fe  0.7810  0.5669  0.8608 x1
Fe  0.8070  0.0422  0.4853 x1
Fe  0.8524  0.7116  0.5671 x1
Fe  0.9140  0.8483  0.2868 x1
Fe  0.9624  0.3363  0.9159 x1
O  0.0448  0.5889  0.9363 x1
O  0.0569  0.6315  0.5204 x1
O  0.0697  0.3635  0.7503 x1
O  0.0889  0.3783  0.3052 x1
O  0.1116  0.1174  0.5428 x1
O  0.1183  0.1643  0.1224 x1
O  0.1798  0.8759  0.3640 x1
O  0.1956  0.9276  0.9492 x1
O  0.2115  0.6585  0.1813 x1
O  0.2256  0.6625  0.7362 x1
O  0.2514  0.4082  0.9653 x1
O  0.2731  0.4488  0.5529 x1
O  0.3178  0.1568  0.7866 x1
O  0.3353  0.2093  0.3764 x1
O  0.3613  0.9487  0.6091 x1
O  0.3746  0.9571  0.1551 x1
O  0.3990  0.6861  0.3938 x1
O  0.4100  0.7464  0.9780 x1
O  0.4715  0.4393  0.2213 x1
O  0.4789  0.4965  0.7976 x1
O  0.5012  0.2171  0.0394 x1
O  0.5221  0.2523  0.5951 x1
O  0.5414  0.9776  0.8302 x1
O  0.5504  0.0343  0.4139 x1
O  0.6064  0.7257  0.6534 x1
O  0.6266  0.7754  0.2308 x1
O  0.6392  0.5123  0.4689 x1
O  0.6596  0.5265  0.0218 x1
O  0.6841  0.2590  0.2559 x1
O  0.6950  0.3083  0.8372 x1
O  0.7470  0.0151  0.0774 x1
O  0.7619  0.0676  0.6653 x1
O  0.7843  0.8038  0.8974 x1
O  0.8008  0.8113  0.4427 x1
O  0.8208  0.5414  0.6820 x1
O  0.8343  0.5940  0.2643 x1
O  0.9016  0.3037  0.5085 x1
O  0.9059  0.3501  0.0922 x1
O  0.9307  0.0874  0.3239 x1
O  0.9490  0.1002  0.8765 x1
O  0.9678  0.8327  0.1098 x1
O  0.9762  0.8935  0.6976 x1

Summary:
As for the crystal system: triclinic. As for the formation energy: -2471 meV per atom. The total moment is 1.06 μB/atom.


Entry 2:
Compound: LiTiFe5O8
Source: the Materials Project database
Functional: GGA+U
Structure: optimized geometry

Cell lengths 5.9899, 6.0012, 6.2321 Å; angles 115.92, 92.06, 119.63 degrees
Space group P-1 (No. 2)
Symmetry-distinct sites (fractional):
Li  0.0000  0.0000  0.0000 x1
Ti  0.5000  0.5000  0.0000 x1
Fe  0.0000  0.5000  0.0000 x1
Fe  0.1557  0.2633  0.4410 x2
Fe  0.5000  0.0000  0.0000 x1
Fe  0.5000  0.0000  0.5000 x1
O  0.2476  0.9655  0.2300 x2
O  0.2563  0.4770  0.2179 x2
O  0.2578  0.5302  0.8026 x2
O  0.2613  0.0543  0.7710 x2

Summary:
As for the crystal system: triclinic. As for the formation energy: -1894 meV per atom. The total moment is 1.40 μB/atom. Its energy above the most stable polymorph in this dataset is 0.0 meV per atom.